# 1
The following is a PBE calculation of ErTlCu after structural relaxation, from Materials Project.

The total magnetization is 0.000 μB per atom. Its energy of formation from the pure elements is -15 kJ per mole of atoms.

Structure (POSCAR):
```
ErTlCu
1.0
3.620 -2.150 0.000
3.620 2.150 0.000
-0.143 0.000 9.236
Er Tl Cu
2 2 2
Cartesian
0.016 0.000 1.630
7.081 0.000 7.606
2.311 0.000 5.523
4.785 0.000 3.713
2.255 0.000 9.189
4.841 0.000 0.047
```

=====

# 2
The following is a PBE calculation of Ge after structural relaxation, from Materials Project.

As for the polymorph energy (0 for the lowest one): 31.9 kJ/mol of atoms. The total magnetization is 0.000 μB per atom. Its energy of formation from the pure elements is 32 kJ per mole of atoms.

Structure (POSCAR):
```
Ge
1.0
2.991 0.000 0.000
-1.496 2.590 0.000
0.000 0.000 5.003
Ge
2
Cartesian
0.000 1.727 1.251
1.496 0.863 3.753
```

=====

# 3
The following is a PBE calculation of Sm3Sb5O12 after structural relaxation, from Materials Project.

Its energy of formation from the pure elements is -254 kJ per mole of atoms.

Structure (POSCAR):
```
Sm3Sb5O12
1.0
-5.527 5.527 5.527
5.527 -5.527 5.527
5.527 5.527 -5.527
Sm Sb O
6 10 24
Cartesian
5.527 2.764 0.000
5.527 0.000 2.764
2.764 5.527 0.000
2.764 0.000 5.527
0.000 5.527 2.764
0.000 2.764 5.527
2.714 2.714 -2.714
3.117 0.000 0.000
2.714 -2.714 2.714
7.937 0.000 0.000
0.000 3.117 0.000
0.000 0.000 3.117
8.340 2.714 2.714
2.813 2.813 2.813
0.000 7.937 0.000
0.000 0.000 7.937
4.347 1.104 -1.104
4.347 -1.104 1.104
7.331 1.524 -1.524
7.331 -1.524 1.524
4.003 4.003 -1.804
4.003 -1.804 4.003
6.707 1.104 1.104
3.723 1.524 1.524
1.104 4.347 -1.104
1.104 -1.104 4.347
1.524 3.723 1.524
1.524 1.524 3.723
-1.104 4.347 1.104
-1.104 1.104 4.347
4.423 4.423 1.180
4.423 1.180 4.423
1.524 7.331 -1.524
1.524 -1.524 7.331
1.104 6.707 1.104
1.104 1.104 6.707
-1.804 4.003 4.003
1.180 4.423 4.423
-1.524 7.331 1.524
-1.524 1.524 7.331
```

=====

# 4
The following is a PBE calculation of CaGe3P2S4O24 after structural relaxation, from Materials Project.

The total magnetization is 0.000 μB per atom. Its energy of formation from the pure elements is -202 kJ per mole of atoms.

Structure (POSCAR):
```
CaGe3P2S4O24
1.0
8.530 0.000 0.000
-4.256 7.406 0.000
-0.005 -0.075 22.072
Ca Ge P S O
3 9 6 12 72
Cartesian
0.000 0.000 0.000
-4.202 7.357 11.262
0.080 4.926 7.199
-4.125 7.308 15.816
-0.003 4.955 12.154
0.041 4.874 18.319
0.099 4.965 1.049
4.289 2.361 15.041
4.301 2.411 3.801
4.332 2.370 19.290
4.274 2.517 8.489
4.206 7.265 4.716
2.618 -0.027 13.564
1.846 2.350 17.189
5.629 0.272 17.177
3.331 4.568 6.044
1.749 7.386 2.444
5.494 4.543 17.180
-1.268 2.213 13.581
-2.895 5.146 2.445
-2.418 4.717 9.799
-1.304 2.926 20.738
1.294 2.223 2.460
1.395 2.872 9.829
-0.970 7.025 20.724
2.855 0.478 6.035
2.425 4.641 20.728
1.119 7.167 9.787
3.006 5.073 13.579
6.684 2.193 6.062
-0.722 1.613 20.828
-0.570 1.575 14.749
-3.060 6.055 3.639
-0.989 3.340 6.108
-1.592 4.548 11.080
-1.079 3.743 22.003
-1.618 4.894 8.620
-1.507 4.724 17.362
-0.712 3.567 19.546
-0.626 3.564 13.424
-2.610 7.025 14.776
-1.404 5.047 2.286
0.624 1.617 3.647
0.959 1.125 16.954
1.367 0.543 5.858
-2.391 7.214 20.848
0.932 1.518 9.967
1.202 1.419 1.266
1.899 0.312 12.310
0.626 3.565 2.289
-0.740 6.092 13.401
-0.941 6.526 6.087
-0.752 6.181 19.529
0.868 3.481 8.639
0.938 3.585 17.397
1.136 3.689 11.103
-0.371 6.416 21.979
3.116 1.272 7.267
2.722 1.983 18.436
3.489 1.067 4.823
2.747 2.507 2.689
1.619 4.430 22.006
3.544 1.151 13.921
0.528 6.538 11.053
2.741 2.723 16.009
1.516 4.909 13.438
0.889 6.086 2.261
0.745 6.276 17.386
1.550 4.883 19.565
0.903 6.377 8.606
4.034 0.911 20.614
2.924 2.905 9.758
1.866 4.778 6.040
3.164 3.351 20.615
4.544 1.041 9.661
4.854 0.891 16.018
4.983 1.112 2.747
3.600 3.745 13.870
3.667 3.740 4.788
3.937 3.928 7.351
5.505 1.191 18.446
3.307 5.774 20.828
3.183 6.021 14.742
2.683 7.036 3.687
3.599 5.544 12.355
6.768 0.076 9.970
6.775 0.347 1.228
5.853 1.977 7.283
4.776 3.960 18.445
7.126 0.125 16.900
5.889 2.320 4.815
5.815 2.425 13.863
5.147 3.758 2.681
5.421 3.353 9.726
5.331 3.592 15.996
5.733 2.891 20.642
4.125 5.912 5.920
7.471 0.920 5.965
7.336 1.444 12.366
4.990 5.659 1.262
4.849 5.916 16.969
5.130 5.760 9.944
```

=====

# 5
The following is a PBE calculation of Er3Mg after structural relaxation, from Materials Project.

Its energy of formation from the pure elements is -2 kJ per mole of atoms.

Structure (POSCAR):
```
Er3Mg
1.0
3.519 0.000 0.000
0.000 3.519 0.000
0.000 0.000 9.337
Er Mg
3 1
Cartesian
0.000 0.000 0.000
1.759 1.759 2.409
1.759 1.759 6.928
0.000 0.000 4.668
```

=====

# 6
The following is a PBE calculation of CaB2Ir2 after structural relaxation, from Materials Project.

Its energy of formation from the pure elements is -66 kJ per mole of atoms.

Structure (POSCAR):
```
CaB2Ir2
1.0
0.000 4.653 5.389
2.980 0.000 5.389
2.980 4.653 0.000
Ca B Ir
2 4 4
Cartesian
0.745 1.163 1.347
5.214 8.143 9.431
2.235 1.839 4.042
3.725 4.166 6.736
2.235 5.141 4.042
3.725 7.468 6.736
2.235 3.490 2.643
3.725 5.817 5.337
2.235 3.490 5.441
3.725 5.817 8.135
```

=====

# 7
The following is a PBE calculation of Tl3Pb after structural relaxation, from Materials Project.

Its energy of formation from the pure elements is 1 kJ per mole of atoms.

Structure (POSCAR):
```
Tl3Pb
1.0
7.253 0.000 0.000
-3.626 6.281 0.000
0.000 0.000 5.545
Tl Pb
6 2
Cartesian
0.000 2.116 1.386
-1.794 5.223 1.386
1.832 1.058 4.158
1.794 5.223 1.386
5.420 1.058 4.158
3.626 4.165 4.158
0.000 4.187 4.158
3.626 2.094 1.386
```

=====

# 8
The following is a PBE calculation of Ca3Ru4O14 after structural relaxation, from Materials Project.

The total magnetization is 0.021 μB per atom. Its energy of formation from the pure elements is -180 kJ per mole of atoms.

Structure (POSCAR):
```
Ca3Ru4O14
1.0
3.638 2.100 5.915
-3.638 2.100 5.915
0.000 -4.201 5.915
Ca Ru O
3 4 14
Cartesian
-1.819 -1.050 5.915
-1.819 1.050 11.829
0.000 2.100 5.915
0.000 0.000 0.000
-3.638 0.000 8.872
-1.819 1.050 2.957
1.819 1.050 2.957
-2.287 -1.320 8.462
0.000 -2.567 4.854
-2.223 1.283 4.854
0.000 -2.641 9.282
-2.287 1.320 9.282
-2.223 -1.283 12.890
0.000 0.000 6.566
0.000 0.000 11.177
2.223 1.283 4.854
2.287 -1.320 8.462
0.000 2.641 8.462
2.223 -1.283 12.890
0.000 2.567 12.890
2.287 1.320 9.282
```

=====

# 9
The following is a PBE calculation of NdVSb3 after structural relaxation, from Materials Project.

As for the polymorph energy (0 for the lowest one): 0.0 kJ/mol of atoms. The total magnetization is 0.355 μB per atom. Its energy of formation from the pure elements is -39 kJ per mole of atoms.

Structure (POSCAR):
```
NdVSb3
1.0
10.306 0.000 0.000
0.000 7.939 0.000
0.000 0.000 6.245
Nd V Sb
4 4 12
Cartesian
2.559 0.696 1.561
2.559 3.273 4.684
7.747 4.666 1.561
7.747 7.242 4.684
0.469 5.954 0.000
0.469 5.954 3.122
9.837 1.985 0.000
9.837 1.985 3.122
0.926 0.268 4.684
0.926 3.702 1.561
3.184 5.954 0.000
3.184 5.954 3.122
4.348 0.503 4.684
4.348 3.467 1.561
5.958 4.472 4.684
5.958 7.436 1.561
7.122 1.985 0.000
7.122 1.985 3.122
9.380 4.237 4.684
9.380 7.671 1.561
```

=====

# 10
The following is a PBE calculation of Li2FeS2 after structural relaxation, from Materials Project.

As for the polymorph energy (0 for the lowest one): 0.9 kJ/mol of atoms. The total magnetization is 0.800 μB per atom. Its energy of formation from the pure elements is -104 kJ per mole of atoms.

Structure (POSCAR):
```
Li2FeS2
1.0
8.869 0.000 0.000
0.000 6.136 0.000
-8.235 0.000 13.320
Li Fe S
16 8 16
Cartesian
-1.851 0.189 4.159
-5.968 2.879 10.820
-2.424 3.828 6.022
-6.542 5.376 12.682
-3.082 3.173 10.035
1.035 6.031 3.374
-3.499 0.356 11.162
0.619 2.712 4.502
0.014 3.424 8.819
4.132 5.780 2.158
-0.402 0.105 9.946
3.716 2.963 3.286
7.175 0.760 0.638
3.058 2.308 7.298
6.602 3.257 2.501
2.484 5.947 9.161
-3.720 0.052 7.858
0.398 3.016 1.197
-1.026 0.090 6.995
3.091 2.978 0.335
-2.458 3.158 12.986
1.660 6.046 6.325
0.235 3.120 12.123
4.353 6.084 5.463
-2.746 1.410 6.129
-6.864 1.658 12.789
-4.668 1.475 9.377
-0.550 1.593 2.717
-4.223 4.328 11.986
-0.105 4.876 5.326
2.126 4.402 1.914
-1.992 4.802 8.574
2.625 1.334 4.746
-1.493 1.734 11.406
0.739 1.260 7.995
4.856 1.808 1.335
1.183 4.543 10.603
5.301 4.661 3.943
7.497 4.478 0.531
3.380 4.726 7.191
```

=====

# 11
The following is a PBE calculation of HfSiW4 after structural relaxation, from Materials Project.

The total magnetization is 0.000 μB per atom. Its energy of formation from the pure elements is 29 kJ per mole of atoms.

Structure (POSCAR):
```
HfSiW4
1.0
0.000 3.760 3.760
3.760 0.000 3.760
3.760 3.760 0.000
Hf Si W
1 1 4
Cartesian
0.000 0.000 0.000
1.880 1.880 1.880
4.696 2.825 2.825
2.825 4.696 2.825
2.825 2.825 4.696
4.696 4.696 4.696
```

=====

# 12
The following is a PBE calculation of Ba2Y5Cl19 after structural relaxation, from Materials Project.

As for the polymorph energy (0 for the lowest one): 0.0 kJ/mol of atoms. The total magnetization is 0.000 μB per atom. Its energy of formation from the pure elements is -262 kJ per mole of atoms.

Structure (POSCAR):
```
Ba2Y5Cl19
1.0
9.197 0.000 0.000
0.000 7.437 0.000
-3.108 0.000 29.594
Ba Y Cl
4 10 38
Cartesian
1.341 0.000 7.186
0.152 0.564 19.962
5.936 4.282 9.633
4.747 3.719 22.408
-1.218 0.153 24.460
0.060 4.077 13.912
1.506 3.935 1.157
2.743 0.418 11.717
1.447 3.985 26.531
4.641 0.266 3.063
3.345 4.137 17.878
4.582 0.216 28.438
6.028 0.358 15.682
7.306 3.872 5.135
-1.018 3.941 11.544
-0.544 5.067 7.146
0.256 6.038 0.064
-2.185 5.353 23.467
-1.196 6.324 14.598
0.195 4.058 3.461
0.693 0.409 10.066
-0.539 2.503 25.541
1.362 1.781 13.512
2.592 1.722 2.180
0.107 6.275 26.328
1.168 4.054 16.339
0.841 0.116 22.839
0.269 3.773 28.915
2.051 5.511 12.847
3.192 5.555 2.469
1.957 2.969 19.877
3.763 0.410 5.517
2.422 6.377 18.909
3.666 2.659 10.686
2.325 4.129 24.077
4.131 6.688 9.718
2.896 1.837 27.125
4.037 1.793 16.748
5.819 0.055 0.680
5.247 3.835 6.756
4.920 0.336 13.256
5.981 2.556 3.267
3.496 5.441 27.415
4.726 5.499 16.083
6.627 6.222 4.053
5.395 4.128 19.528
5.893 0.340 26.134
7.284 2.605 14.996
8.273 1.635 6.127
5.832 2.319 29.530
6.632 1.348 22.448
7.106 0.222 18.050
```

=====

# 13
The following is a PBE calculation of CsMg6Mn after structural relaxation, from Materials Project.

As for the polymorph energy (0 for the lowest one): 0.0 kJ/mol of atoms. The total magnetization is 0.483 μB per atom. Its energy of formation from the pure elements is 43 kJ per mole of atoms.

Structure (POSCAR):
```
CsMg6Mn
1.0
5.292 0.000 0.000
0.000 3.429 6.070
0.000 -3.429 6.070
Cs Mg Mn
1 6 1
Cartesian
0.000 0.000 0.000
0.000 -1.590 3.010
0.000 1.590 3.010
0.000 0.000 6.052
2.646 -1.523 4.845
2.646 1.523 4.845
2.646 0.000 8.107
2.646 0.000 2.418
```

=====

# 14
The following is a PBE calculation of Li2CeIn after structural relaxation, from Materials Project.

The total magnetization is 0.252 μB per atom. Its energy of formation from the pure elements is -18 kJ per mole of atoms.

Structure (POSCAR):
```
Li2CeIn
1.0
0.000 3.536 3.536
3.536 0.000 3.536
3.536 3.536 0.000
Li Ce In
2 1 1
Cartesian
1.768 1.768 1.768
5.305 5.305 5.305
0.000 0.000 0.000
3.536 3.536 3.536
```

=====

Short version: E_tot = -3.832 -4.292 -6.926 -6.375 -3.843 -7.290 -2.689 -6.755 -5.539 -4.991 -10.898 -5.006 -2.012 -3.317 eV per atom, in the order given.
Short version: density = 10.05 6.22 6.16 2.97 7.56 9.91 10.79 4.58 7.29 2.45 14.71 2.29 2.52 5.05 g/cm3, in the order given.